[1]
## Cr6C3N (PBE)

Data for crystalline Cr6C3N at its relaxed geometry. Values from VASP.

ΔE to the lowest computed polymorph   0 meV/atom
Space-group type   No. 12
Energy   -9.5560 eV/atom
Energy of formation from the pure elements   -0.198 eV/atom
E (MP2020)   -9.592 eV/atom

The structure in Quantum ESPRESSO input format:
```
&SYSTEM
  ibrav = 0, nat = 10, ntyp = 3
/
ATOMIC_SPECIES
Cr 52.00 Cr.upf
C 12.01 C.upf
N 14.01 N.upf
CELL_PARAMETERS angstrom
4.6040 -1.4013 0.0000
4.6040 1.4013 0.0000
-0.0813 0.0000 6.9137
ATOMIC_POSITIONS angstrom
Cr 0.8842 0.0000 1.7633
Cr 3.2122 0.0000 2.9328
Cr 3.2862 0.0000 0.4558
Cr 5.8406 0.0000 6.4580
Cr 5.9146 0.0000 3.9809
Cr 8.2426 0.0000 5.1504
C 0.0000 0.0000 0.0000
C 2.2613 0.0000 5.2035
C 6.8655 0.0000 1.7102
N -0.0406 0.0000 3.4569
```

[2]
## HoGa3 (PBE)

Data for crystalline HoGa3 at its relaxed geometry. Values from VASP.

Space-group type   No. 221
Energy   -3.9492 eV/atom
Energy of formation from the pure elements   -0.533 eV/atom

The structure in Quantum ESPRESSO input format:
```
&SYSTEM
  ibrav = 0, nat = 4, ntyp = 2
/
ATOMIC_SPECIES
Ho 164.93 Ho.upf
Ga 69.72 Ga.upf
CELL_PARAMETERS angstrom
4.2633 0.0000 0.0000
0.0000 4.2633 0.0000
0.0000 0.0000 4.2633
ATOMIC_POSITIONS angstrom
Ho 0.0000 0.0000 0.0000
Ga 0.0000 2.1317 2.1317
Ga 2.1317 0.0000 2.1317
Ga 2.1317 2.1317 0.0000
```

[3]
## LaUS2 (PBE)

Data for crystalline LaUS2 at its relaxed geometry. Values from VASP.

Space-group type   No. 166
Energy   -7.8475 eV/atom
Energy of formation from the pure elements   -1.974 eV/atom
E (MP2020)   -8.099 eV/atom

The structure in Quantum ESPRESSO input format:
```
&SYSTEM
  ibrav = 0, nat = 12, ntyp = 3
/
ATOMIC_SPECIES
La 138.91 La.upf
U 238.03 U.upf
S 32.06 S.upf
CELL_PARAMETERS angstrom
3.9670 0.0000 0.0000
-1.9835 3.4355 0.0000
0.0000 0.0000 20.2609
ATOMIC_POSITIONS angstrom
La 0.0000 0.0000 0.0000
La 0.0000 2.2904 13.5073
La 1.9835 1.1452 6.7536
U 0.0000 0.0000 10.1305
U 0.0000 2.2904 3.3768
U 1.9835 1.1452 16.8841
S 0.0000 0.0000 4.9428
S 0.0000 0.0000 15.3182
S 0.0000 2.2904 8.5645
S 0.0000 2.2904 18.4500
S 1.9835 1.1452 1.8109
S 1.9835 1.1452 11.6964
```

[4]
## BPb3O4F (PBE)

Data for crystalline BPb3O4F at its relaxed geometry. Values from VASP.

Space-group type   No. 57
Energy   -6.1180 eV/atom
Energy of formation from the pure elements   -2.083 eV/atom
E (MP2020)   -6.475 eV/atom

The structure in Quantum ESPRESSO input format:
```
&SYSTEM
  ibrav = 0, nat = 36, ntyp = 4
/
ATOMIC_SPECIES
B 10.81 B.upf
Pb 207.20 Pb.upf
O 16.00 O.upf
F 19.00 F.upf
CELL_PARAMETERS angstrom
7.7775 0.0000 0.0000
0.0000 6.6305 0.0000
0.0000 0.0000 12.1585
ATOMIC_POSITIONS angstrom
B 0.1627 1.6576 0.0000
B 0.1627 1.6576 6.0793
B 7.6148 4.9729 0.0000
B 7.6148 4.9729 6.0793
Pb 0.8278 0.4089 3.0396
Pb 0.8278 2.9064 9.1189
Pb 2.5625 3.5164 1.2742
Pb 2.5625 3.5164 4.8050
Pb 2.5625 6.4294 7.3535
Pb 2.5625 6.4294 10.8843
Pb 5.2150 0.2011 1.2742
Pb 5.2150 0.2011 4.8050
Pb 5.2150 3.1141 7.3535
Pb 5.2150 3.1141 10.8843
Pb 6.9496 3.7241 3.0396
Pb 6.9496 6.2216 9.1189
O 0.5265 4.6609 1.1659
O 0.5265 4.6609 4.9134
O 0.5265 5.2849 7.2452
O 0.5265 5.2849 10.9926
O 1.4945 0.5701 9.1189
O 1.4945 2.7452 3.0396
O 1.5588 1.6576 0.0000
O 1.5588 1.6576 6.0793
O 6.2187 4.9729 0.0000
O 6.2187 4.9729 6.0793
O 6.2830 3.8853 9.1189
O 6.2830 6.0604 3.0396
O 7.2510 1.3456 1.1659
O 7.2510 1.3456 4.9134
O 7.2510 1.9696 7.2452
O 7.2510 1.9696 10.9926
F 3.2963 4.6454 9.1189
F 3.2963 5.3004 3.0396
F 4.4812 1.3301 9.1189
F 4.4812 1.9851 3.0396
```

[5]
## Ba3NaBiO6 (PBE)

Data for crystalline Ba3NaBiO6 at its relaxed geometry. Values from VASP.

Space-group type   No. 15
Energy   -5.2979 eV/atom
Energy of formation from the pure elements   -1.855 eV/atom
E (MP2020)   -5.552 eV/atom

The structure in Quantum ESPRESSO input format:
```
&SYSTEM
  ibrav = 0, nat = 22, ntyp = 4
/
ATOMIC_SPECIES
Ba 137.33 Ba.upf
Na 22.99 Na.upf
Bi 208.98 Bi.upf
O 16.00 O.upf
CELL_PARAMETERS angstrom
4.9143 -8.8471 0.0000
4.9143 8.8471 0.0000
-1.0863 0.0000 6.5815
ATOMIC_POSITIONS angstrom
Ba 1.1110 2.3717 4.9258
Ba 4.0996 5.1131 4.9361
Ba 1.6542 -2.3717 1.6350
Ba 7.0882 2.3717 4.9465
Ba 4.6427 -5.1131 1.6454
Ba 7.6313 -2.3717 1.6558
Na 4.0996 8.4144 4.9361
Na 4.6427 -8.4144 1.6454
Bi 4.9143 0.0000 0.0000
Bi 4.3712 0.0000 3.2908
O 2.3419 3.9927 2.8349
O 4.7269 6.8757 0.0586
O 4.5586 6.8757 3.2321
O 2.5601 0.2204 4.6767
O 3.1032 -0.2204 1.3860
O 6.9436 3.9927 0.4558
O 1.7988 -3.9927 6.1257
O 5.6392 0.2204 5.1955
O 6.1823 -0.2204 1.9048
O 4.1837 -6.8757 3.3494
O 4.0155 -6.8757 6.5229
O 6.4005 -3.9927 3.7466
```

[6]
## HoNi5Ge3 (PBE)

Data for crystalline HoNi5Ge3 at its relaxed geometry. Values from VASP.

Space-group type   No. 62
Energy   -5.7922 eV/atom
Energy of formation from the pure elements   -0.531 eV/atom

The structure in Quantum ESPRESSO input format:
```
&SYSTEM
  ibrav = 0, nat = 36, ntyp = 3
/
ATOMIC_SPECIES
Ho 164.93 Ho.upf
Ni 58.69 Ni.upf
Ge 72.64 Ge.upf
CELL_PARAMETERS angstrom
19.0140 0.0000 0.0000
0.0000 3.8296 0.0000
0.0000 0.0000 6.8442
ATOMIC_POSITIONS angstrom
Ho 2.7514 0.9574 0.8197
Ho 6.7556 2.8722 4.2418
Ho 12.2584 0.9574 2.6024
Ho 16.2626 2.8722 6.0244
Ni 0.0874 2.8722 0.8907
Ni 0.2448 0.9574 2.6035
Ni 2.1225 0.9574 4.3822
Ni 3.8143 2.8722 5.5549
Ni 3.9419 2.8722 2.9090
Ni 5.5651 0.9574 6.3311
Ni 5.6927 0.9574 2.1328
Ni 7.3845 2.8722 0.9601
Ni 9.2621 2.8722 6.0256
Ni 9.4196 0.9574 4.3127
Ni 9.5944 2.8722 2.5314
Ni 9.7518 0.9574 0.8186
Ni 11.6295 0.9574 5.8841
Ni 13.3213 2.8722 4.7114
Ni 13.4489 2.8722 0.5131
Ni 15.0721 0.9574 3.9352
Ni 15.1997 0.9574 1.2893
Ni 16.8915 2.8722 2.4620
Ni 18.7691 2.8722 4.2407
Ni 18.9265 0.9574 5.9535
Ge 1.4529 2.8722 5.8188
Ge 1.6299 2.8722 2.7647
Ge 4.5029 0.9574 4.2227
Ge 5.0040 2.8722 0.8006
Ge 7.8771 0.9574 6.1868
Ge 8.0541 0.9574 2.3968
Ge 10.9598 2.8722 4.4474
Ge 11.1369 2.8722 0.6574
Ge 14.0099 0.9574 6.0436
Ge 14.5110 2.8722 2.6215
Ge 17.3840 0.9574 4.0795
Ge 17.5611 0.9574 1.0253
```

[7]
## Ti5Se4 (PBE)

Data for crystalline Ti5Se4 at its relaxed geometry. Values from VASP.

Space-group type   No. 87
Energy   -6.9999 eV/atom
Energy of formation from the pure elements   -1.270 eV/atom
E (MP2020)   -7.210 eV/atom

The structure in Quantum ESPRESSO input format:
```
&SYSTEM
  ibrav = 0, nat = 9, ntyp = 2
/
ATOMIC_SPECIES
Ti 47.87 Ti.upf
Se 78.96 Se.upf
CELL_PARAMETERS angstrom
-4.8671 4.8671 1.7462
4.8671 -4.8671 1.7462
4.8671 4.8671 -1.7462
ATOMIC_POSITIONS angstrom
Ti 0.0000 0.0000 0.0000
Ti 3.6259 2.9850 0.0000
Ti 1.8821 -1.2412 1.7462
Ti 2.9850 6.1083 0.0000
Ti 1.2412 1.8821 1.7462
Se 2.6488 0.5638 0.0000
Se 4.3033 -2.2183 1.7462
Se 0.5638 7.0854 0.0000
Se 2.2183 4.3033 1.7462
```

[8]
## ZnCuF4 (PBE)

Data for crystalline ZnCuF4 at its relaxed geometry. Values from VASP.

Space-group type   No. 46
Energy   -3.9895 eV/atom
Energy of formation from the pure elements   -2.128 eV/atom
E (MP2020)   -4.297 eV/atom

The structure in Quantum ESPRESSO input format:
```
&SYSTEM
  ibrav = 0, nat = 12, ntyp = 3
/
ATOMIC_SPECIES
Zn 65.41 Zn.upf
Cu 63.55 Cu.upf
F 19.00 F.upf
CELL_PARAMETERS angstrom
-5.0498 2.5725 2.5914
5.0498 -2.5725 2.5914
5.0498 2.5725 -2.5914
ATOMIC_POSITIONS angstrom
Zn 0.0000 0.0000 0.0000
Zn 5.0498 0.0000 0.0000
Cu 2.5249 2.5593 0.0340
Cu 2.5249 0.0132 2.6254
F 3.8705 1.5795 -0.9200
F 6.2291 -0.9930 1.6714
F -1.1727 1.5952 0.9752
F 6.2224 1.5952 0.9752
F 1.1793 0.9930 1.6714
F 3.8705 0.9930 1.6714
F 1.1727 3.5498 0.9752
F -1.1727 0.9773 3.5665
```

[9]
## CeMg6Mo (PBE)

Data for crystalline CeMg6Mo at its relaxed geometry. Values from VASP.

ΔE to the lowest computed polymorph   0 meV/atom
Energy   -3.1139 eV/atom
Energy of formation from the pure elements   0.184 eV/atom

The structure in Quantum ESPRESSO input format:
```
&SYSTEM
  ibrav = 0, nat = 16, ntyp = 3
/
ATOMIC_SPECIES
Mg 24.30 Mg.upf
Mo 95.94 Mo.upf
Ce 140.12 Ce.upf
CELL_PARAMETERS angstrom
4.7677 0.0000 0.0000
0.0000 6.4089 0.0000
0.0000 0.0000 11.7069
ATOMIC_POSITIONS angstrom
Mg 0.0000 0.0000 3.9250
Mo 2.3839 3.2044 2.3479
Ce 0.0000 3.2044 3.4565
Mg 0.0000 4.8383 6.6861
Mg 2.3839 3.2044 7.8977
Mg 2.3839 1.5789 4.9875
Mo 2.3839 0.0000 8.2013
Mg 0.0000 4.7750 0.8327
Mg 2.3839 1.6256 10.8409
Mg 0.0000 3.2044 9.7784
Mg 0.0000 1.5706 6.6861
Ce 0.0000 0.0000 9.3099
Mg 2.3839 0.0000 2.0442
Mg 2.3839 4.7833 10.8409
Mg 0.0000 1.6339 0.8327
Mg 2.3839 4.8300 4.9875
```

[10]
## HfUTa2C4 (PBE)

Data for crystalline HfUTa2C4 at its relaxed geometry. Values from VASP.

Space-group type   No. 160
Energy   -10.8351 eV/atom
Energy of formation from the pure elements   -0.600 eV/atom

The structure in Quantum ESPRESSO input format:
```
&SYSTEM
  ibrav = 0, nat = 8, ntyp = 4
/
ATOMIC_SPECIES
Hf 178.49 Hf.upf
U 238.03 U.upf
Ta 180.95 Ta.upf
C 12.01 C.upf
CELL_PARAMETERS angstrom
1.6140 0.9318 10.9242
-1.6140 0.9318 10.9242
0.0000 -1.8637 10.9242
ATOMIC_POSITIONS angstrom
Hf 0.0000 0.0000 0.0000
U 0.0000 0.0000 24.7492
Ta 0.0000 0.0000 8.3032
Ta 0.0000 0.0000 16.6424
C 0.0000 0.0000 4.4904
C 0.0000 0.0000 12.2869
C 0.0000 0.0000 20.4697
C 0.0000 0.0000 28.8737
```

[11]
## Li2CuP4O12 (PBE)

Data for crystalline Li2CuP4O12 at its relaxed geometry. Values from VASP.

ΔE to the lowest computed polymorph   52 meV/atom
Space-group type   No. 14
Energy   -6.6628 eV/atom
Energy of formation from the pure elements   -2.415 eV/atom
E (MP2020)   -7.097 eV/atom

The structure in Quantum ESPRESSO input format:
```
&SYSTEM
  ibrav = 0, nat = 38, ntyp = 4
/
ATOMIC_SPECIES
Li 6.94 Li.upf
Cu 63.55 Cu.upf
P 30.97 P.upf
O 16.00 O.upf
CELL_PARAMETERS angstrom
7.6932 0.0000 0.0000
0.0000 9.0590 0.0000
-4.4029 0.0000 7.1716
ATOMIC_POSITIONS angstrom
Li 0.2769 1.7765 2.5431
Li -1.9246 2.7530 6.1289
Li 5.2149 6.3061 1.0426
Li 3.0134 7.2825 4.6284
Cu -2.2014 0.0000 3.5858
Cu 0.0000 4.5295 0.0000
P -0.1685 6.4657 2.6215
P -2.3699 7.1228 6.2073
P 0.0134 5.2992 5.4404
P 2.2148 8.2894 1.8546
P 1.0755 0.7697 5.3170
P 3.2769 3.7599 1.7312
P 5.6602 1.9362 0.9643
P 3.4588 2.5933 4.5501
O -0.6705 5.5598 1.5137
O -2.8719 8.0288 5.0995
O -3.4099 6.0986 6.5271
O -1.2085 7.4899 2.9414
O -0.2202 1.0454 4.6123
O 1.9812 3.4841 1.0265
O 0.2437 5.5526 3.8525
O 2.4452 8.0360 0.2668
O -0.9454 6.5538 5.8247
O 1.2561 7.0348 2.2389
O 1.5152 0.5283 1.9873
O -0.6863 4.0013 5.5731
O 3.9766 5.0578 1.5984
O 1.7751 8.5308 5.1842
O 2.0342 2.0243 4.9327
O 4.2357 2.5053 1.3469
O 0.8452 1.0231 6.9048
O 3.0466 3.5065 3.3190
O 1.3091 5.5749 6.1451
O 3.5105 8.0136 2.5593
O 4.4988 1.5691 4.2302
O 6.7002 2.9604 0.6444
O 6.1622 1.0302 2.0721
O 3.9608 3.4993 5.6579
```

[12]
## UNiC2 (PBE)

Data for crystalline UNiC2 at its relaxed geometry. Values from VASP.

Space-group type   No. 129
Energy   -8.9966 eV/atom
Energy of formation from the pure elements   -0.114 eV/atom

The structure in Quantum ESPRESSO input format:
```
&SYSTEM
  ibrav = 0, nat = 8, ntyp = 3
/
ATOMIC_SPECIES
U 238.03 U.upf
Ni 58.69 Ni.upf
C 12.01 C.upf
CELL_PARAMETERS angstrom
3.5056 0.0000 0.0000
0.0000 3.5056 0.0000
0.0000 0.0000 7.3615
ATOMIC_POSITIONS angstrom
U 0.8764 0.8764 1.3130
U 2.6292 2.6292 6.0485
Ni 0.8764 2.6292 3.6808
Ni 2.6292 0.8764 3.6808
C 0.8764 0.8764 4.8917
C 0.8764 0.8764 6.3450
C 2.6292 2.6292 1.0166
C 2.6292 2.6292 2.4698
```

What is the formula in the second record? HoGa3